Compound: MgCo6O10F2
Source: the Materials Project
Functional: PBE with a Hubbard U
Structure: relaxed

Properties
- Offset from the most stable computed form: 22 meV/atom
- Space group: Pm (6)

a b c (Å): 4.9091 2.8758 13.6503
angles (deg): 90.00 90.88 90.00
Last column: nearest neighbours and their distance in Å.
Element x y z (fractional)
Mg: 0.0000 0.0000 0.0000  1 F 1.90, 3 O 2.01-2.02
Co: 0.3751 0.5000 0.3331  6 O 1.87-1.92
Co: 0.4674 0.5000 0.6612  5 O 1.87-2.09
Co: 0.5182 0.5000 0.9575  3 O 1.90-2.03, 2 F 2.05
Co: 0.8581 0.0000 0.1948  3 O 1.83-1.92
Co: 0.8796 0.0000 0.4808  4 O 1.93-2.02, 2 F 2.01
Co: 0.9924 0.0000 0.8050  6 O 1.85-2.00
O: 0.0748 0.5000 0.2472  3 Co 1.87-1.92
O: 0.1454 0.5000 0.8916  3 Co 2.00-2.03, 2 Mg 2.19
O: 0.2108 0.0000 0.3973  3 Co 1.87-2.00
O: 0.3063 0.0000 0.7281  3 Co 1.88
O: 0.5356 0.0000 0.2606  3 Co 1.83-1.92
O: 0.6028 0.0000 0.5889  3 Co 1.87-2.02
O: 0.6849 0.5000 0.4162  3 Co 1.88-1.93
O: 0.7026 0.0000 0.8957  3 Co 1.90, 1 Mg 2.02
O: 0.8347 0.5000 0.7408  2 Co 1.85
O: 0.8370 0.5000 0.0842  2 Mg 2.01, 2 Co 2.09
F: 0.0786 0.5000 0.5565  2 Co 2.01
F: 0.3645 0.0000 0.0482  1 Mg 1.90, 2 Co 2.05